(1)
DFT (PBE-GGA) results for a relaxed RbMg6Zr crystal.

**ΔE_f**: 251 meV per atom
**Total moment**: 1.3 Bohr magnetons per cell

```
data_RbMg6Zr
_space_group_name_H-M_alt 'P 4/m m m'
_space_group_IT_number 123
_space_group_name_Hall '-P 4 2'
_cell_length_a 6.882
_cell_length_b 6.882
_cell_length_c 4.630
_cell_angle_alpha 90.00
_cell_angle_beta 90.00
_cell_angle_gamma 90.00
loop_
_atom_site_label
_atom_site_fract_x
_atom_site_fract_y
_atom_site_fract_z
_atom_site_occupancy
Rb1 0.000 0.000 0.000 1
Mg1 0.000 0.500 0.000 1
Mg2 0.282 0.282 0.500 1
Zr1 0.500 0.500 0.000 1
```

***

(2)
DFT (PBE-GGA) results for a relaxed RbMg6Zr crystal.

**ΔE_f**: 252 meV per atom
**Total moment**: 2.8 Bohr magnetons per cell

```
data_RbMg6Zr
_space_group_name_H-M_alt 'A m m 2'
_space_group_IT_number 38
_cell_length_a 4.720
_cell_length_b 9.662
_cell_length_c 9.666
_cell_angle_alpha 90.00
_cell_angle_beta 90.00
_cell_angle_gamma 90.00
loop_
_space_group_symop_operation_xyz
'x,y,z'
'-x,-y,z'
'-x,y,z'
'x,-y,z'
'x,y+1/2,z+1/2'
'-x,-y+1/2,z+1/2'
'-x,y+1/2,z+1/2'
'x,-y+1/2,z+1/2'
loop_
_atom_site_label
_atom_site_fract_x
_atom_site_fract_y
_atom_site_fract_z
_atom_site_occupancy
Rb1 0.000 0.000 0.000 1
Mg1 0.000 0.241 0.258 1
Mg2 0.500 0.000 0.291 1
Mg3 0.500 0.000 0.726 1
Mg4 0.500 0.218 0.513 1
Zr1 0.000 0.000 0.512 1
```

***

(3)
DFT (PBE-GGA) results for a relaxed Mg3Re crystal.

**ΔE_f**: 412 meV per atom
**Total moment**: 0.8 Bohr magnetons per cell

```
data_Mg3Re
_space_group_name_H-M_alt 'P m -3 m'
_space_group_IT_number 221
_space_group_name_Hall '-P 4 2 3'
_cell_length_a 4.155
_cell_length_b 4.155
_cell_length_c 4.155
_cell_angle_alpha 90.00
_cell_angle_beta 90.00
_cell_angle_gamma 90.00
loop_
_atom_site_label
_atom_site_fract_x
_atom_site_fract_y
_atom_site_fract_z
_atom_site_occupancy
Mg1 0.000 0.000 0.500 1
Re1 0.500 0.500 0.500 1
```

***

(4)
DFT (PBE-GGA) results for a relaxed Mg3Re crystal.

**ΔE_f**: 412 meV per atom
**Total moment**: 1.8 Bohr magnetons per cell

```
data_Mg3Re
_space_group_name_H-M_alt 'P 63/m m c'
_space_group_IT_number 194
_space_group_name_Hall '-P 6c 2c'
_cell_length_a 5.9097
_cell_length_b 5.9097
_cell_length_c 4.8148
_cell_angle_alpha 90.00
_cell_angle_beta 90.00
_cell_angle_gamma 120.00
loop_
_atom_site_label
_atom_site_fract_x
_atom_site_fract_y
_atom_site_fract_z
_atom_site_occupancy
Mg1 0.1746 0.3492 0.2500 1
Re1 0.3333 0.6667 0.7500 1
```

***

(5)
DFT (PBE-GGA) results for a relaxed Mg149Re crystal.

**ΔE_f**: -14 meV per atom
**Total moment**: 0.0 Bohr magnetons per cell

```
data_Mg149Re
_space_group_name_H-M_alt 'P -6 m 2'
_space_group_IT_number 187
_space_group_name_Hall 'P -6 2'
_cell_length_a 15.9462
_cell_length_b 15.9462
_cell_length_c 15.6528
_cell_angle_alpha 90.00
_cell_angle_beta 90.00
_cell_angle_gamma 120.00
loop_
_atom_site_label
_atom_site_fract_x
_atom_site_fract_y
_atom_site_fract_z
_atom_site_occupancy
Mg1 0.0000 0.0000 0.0000 1
Mg2 0.0000 0.0000 0.3332 1
Mg3 0.9999 0.1995 0.3332 1
Mg4 0.0001 0.2000 0.0000 1
Mg5 0.0008 0.4003 0.0000 1
Mg6 0.0024 0.4018 0.3346 1
Mg7 0.1334 0.2668 0.1662 1
Mg8 0.1337 0.0669 0.1665 1
Mg9 0.1339 0.0670 0.5000 1
Mg10 0.1342 0.2684 0.5000 1
Mg11 0.1345 0.4682 0.1693 1
Mg12 0.1461 0.4778 0.5000 1
Mg13 0.1988 0.3975 0.3331 1
Mg14 0.2005 0.4009 0.0000 1
Mg15 0.2004 0.6002 0.0000 1
Mg16 0.2077 0.6039 0.3440 1
Mg17 0.3328 0.0633 0.5000 1
Mg18 0.3333 0.6667 0.1676 1
Mg19 0.3336 0.0661 0.1674 1
Mg20 0.3993 0.1996 0.0000 1
Mg21 0.3999 0.2000 0.3341 1
Mg22 0.5316 0.0633 0.5000 1
Mg23 0.5333 0.0666 0.1670 1
Mg24 0.5328 0.2664 0.5000 1
Mg25 0.5334 0.2667 0.1668 1
Mg26 0.5997 0.1994 0.0000 1
Mg27 0.5997 0.1995 0.3338 1
Re1 0.3333 0.6667 0.5000 1
```

***

(6)
DFT (PBE-GGA) results for a relaxed Mg3Rh crystal.

**ΔE_f**: -353 meV per atom

```
data_Mg3Rh
_space_group_name_H-M_alt 'P 63 c m'
_space_group_IT_number 185
_space_group_name_Hall 'P 6c -2'
_cell_length_a 7.9674
_cell_length_b 7.9674
_cell_length_c 8.2398
_cell_angle_alpha 90.00
_cell_angle_beta 90.00
_cell_angle_gamma 120.00
loop_
_atom_site_label
_atom_site_fract_x
_atom_site_fract_y
_atom_site_fract_z
_atom_site_occupancy
Mg1 0.0000 0.0000 0.0000 1
Mg2 0.0000 0.2860 0.2632 1
Mg3 0.0000 0.3733 0.6059 1
Mg4 0.3333 0.6667 0.3908 1
Rh1 0.0000 0.3278 0.9341 1
```

***

(7)
DFT (PBE-GGA) results for a relaxed Mg2Rh crystal.

**ΔE_f**: -422 meV per atom

```
data_Mg2Rh
_space_group_name_H-M_alt 'I 4/m m m'
_space_group_IT_number 139
_space_group_name_Hall '-I 4 2'
_cell_length_a 3.226
_cell_length_b 3.226
_cell_length_c 9.983
_cell_angle_alpha 90.00
_cell_angle_beta 90.00
_cell_angle_gamma 90.00
loop_
_atom_site_label
_atom_site_fract_x
_atom_site_fract_y
_atom_site_fract_z
_atom_site_occupancy
Mg1 0.000 0.000 0.144 1
Rh1 0.000 0.000 0.500 1
```

***

(8)
DFT (PBE-GGA) results for a relaxed MgRh crystal.

**ΔE_f**: -465 meV per atom

```
data_MgRh
_space_group_name_H-M_alt 'P m -3 m'
_space_group_IT_number 221
_space_group_name_Hall '-P 4 2 3'
_cell_length_a 3.127
_cell_length_b 3.127
_cell_length_c 3.127
_cell_angle_alpha 90.00
_cell_angle_beta 90.00
_cell_angle_gamma 90.00
loop_
_atom_site_label
_atom_site_fract_x
_atom_site_fract_y
_atom_site_fract_z
_atom_site_occupancy
Mg1 0.000 0.000 0.000 1
Rh1 0.500 0.500 0.500 1
```

***

E_tot
In order: -2.1404 -2.1395 -3.8992 -3.8989 -1.6869 -3.3943 -3.9436 -4.9472
Unit: eV/atom